# YWC2

Crystalline YWC2 at its relaxed geometry (PBE, the Materials Project database).

Space-group type: Pnma, No. 62
Energy of formation: -1.08 eV per formula unit
Volume: 210.49 Å³ per cell

a = 3.391 Å, b = 5.738 Å, c = 10.820 Å
α = 90.00°, β = 90.00°, γ = 90.00°
Positions (direct):
Y1 0.250 0.085 0.863
Y2 0.250 0.585 0.637
Y3 0.750 0.915 0.137
Y4 0.750 0.415 0.363
W1 0.250 0.403 0.111
W2 0.250 0.903 0.389
W3 0.750 0.597 0.889
W4 0.750 0.097 0.611
C1 0.250 0.160 0.247
C2 0.250 0.660 0.253
C3 0.750 0.840 0.753
C4 0.750 0.340 0.747
C5 0.250 0.722 0.984
C6 0.250 0.222 0.516
C7 0.750 0.278 0.016
C8 0.750 0.778 0.484

***

# Hf2Hg

Crystalline Hf2Hg at its relaxed geometry (PBE, the Materials Project database).

Space-group type: I4/mmm, No. 139
Energy of formation: -0.36 eV per formula unit
Volume: 65.92 Å³ per cell

a = 6.262 Å, b = 6.262 Å, c = 6.262 Å
α = 148.74°, β = 148.74°, γ = 44.80°
Positions (direct):
Hf1 0.666 0.666 0.000
Hf2 0.334 0.334 0.000
Hg1 0.000 0.000 0.000

***

# CuSb3XeF23

Crystalline CuSb3XeF23 at its relaxed geometry (PBE, the Materials Project database).

Space-group type: P2_1/c, No. 14
Energy of formation: -58.31 eV per formula unit
Volume: 1863.45 Å³ per cell

a = 10.470 Å, b = 11.099 Å, c = 19.445 Å
α = 55.55°, β = 90.00°, γ = 90.00°
Positions (direct):
Cu1 0.500 0.500 0.500
Cu2 0.000 0.500 0.000
Cu3 0.000 0.000 0.500
Cu4 0.500 0.000 0.000
Sb1 0.706 0.223 0.483
Sb2 0.794 0.223 0.983
Sb3 0.294 0.777 0.517
Sb4 0.206 0.777 0.017
Sb5 0.788 0.697 0.509
Sb6 0.712 0.697 0.009
Sb7 0.212 0.303 0.491
Sb8 0.288 0.303 0.991
Sb9 0.993 0.206 0.257
Sb10 0.507 0.206 0.757
Sb11 0.007 0.794 0.743
Sb12 0.493 0.794 0.243
Xe1 0.946 0.789 0.256
Xe2 0.554 0.789 0.756
Xe3 0.054 0.211 0.744
Xe4 0.446 0.211 0.244
F1 0.060 0.652 0.254
F2 0.440 0.652 0.754
F3 0.940 0.348 0.746
F4 0.560 0.348 0.246
F5 0.076 0.774 0.333
F6 0.424 0.774 0.833
F7 0.924 0.226 0.667
F8 0.576 0.226 0.167
F9 0.852 0.764 0.177
F10 0.648 0.764 0.677
F11 0.148 0.236 0.823
F12 0.352 0.236 0.323
F13 0.055 0.931 0.163
F14 0.445 0.931 0.663
F15 0.945 0.069 0.837
F16 0.555 0.069 0.337
F17 0.870 0.605 0.347
F18 0.630 0.605 0.847
F19 0.130 0.395 0.653
F20 0.370 0.395 0.153
F21 0.576 0.343 0.493
F22 0.924 0.343 0.993
F23 0.424 0.657 0.507
F24 0.076 0.657 0.007
F25 0.686 0.070 0.598
F26 0.814 0.070 0.098
F27 0.314 0.930 0.402
F28 0.186 0.930 0.902
F29 0.577 0.137 0.456
F30 0.923 0.137 0.956
F31 0.423 0.863 0.544
F32 0.077 0.863 0.044
F33 0.837 0.099 0.473
F34 0.663 0.099 0.973
F35 0.163 0.901 0.527
F36 0.337 0.901 0.027
F37 0.727 0.372 0.369
F38 0.773 0.372 0.869
F39 0.273 0.628 0.631
F40 0.227 0.628 0.131
F41 0.837 0.302 0.513
F42 0.663 0.302 0.013
F43 0.163 0.698 0.487
F44 0.337 0.698 0.987
F45 0.667 0.588 0.482
F46 0.833 0.588 0.982
F47 0.333 0.412 0.518
F48 0.167 0.412 0.018
F49 0.911 0.550 0.540
F50 0.589 0.550 0.040
F51 0.089 0.450 0.460
F52 0.411 0.450 0.960
F53 0.846 0.798 0.395
F54 0.654 0.798 0.895
F55 0.154 0.202 0.605
F56 0.346 0.202 0.105
F57 0.908 0.807 0.531
F58 0.592 0.807 0.031
F59 0.092 0.193 0.469
F60 0.408 0.193 0.969
F61 0.664 0.844 0.473
F62 0.836 0.844 0.973
F63 0.336 0.156 0.527
F64 0.164 0.156 0.027
F65 0.724 0.591 0.619
F66 0.776 0.591 0.119
F67 0.276 0.409 0.381
F68 0.224 0.409 0.881
F69 0.020 0.057 0.376
F70 0.480 0.057 0.876
F71 0.980 0.943 0.624
F72 0.520 0.943 0.124
F73 0.954 0.051 0.242
F74 0.546 0.051 0.742
F75 0.046 0.949 0.758
F76 0.454 0.949 0.258
F77 0.170 0.182 0.238
F78 0.330 0.182 0.738
F79 0.830 0.818 0.762
F80 0.670 0.818 0.262
F81 0.970 0.349 0.138
F82 0.530 0.349 0.638
F83 0.030 0.651 0.862
F84 0.470 0.651 0.362
F85 0.039 0.353 0.273
F86 0.461 0.353 0.773
F87 0.961 0.647 0.727
F88 0.539 0.647 0.227
F89 0.818 0.214 0.277
F90 0.682 0.214 0.777
F91 0.182 0.786 0.723
F92 0.318 0.786 0.223

***

# Tm2PdPt

Crystalline Tm2PdPt at its relaxed geometry (PBE, the Materials Project database).

Space-group type: Fm-3m, No. 225
Energy of formation: -4.51 eV per formula unit
Volume: 82.29 Å³ per cell

a = 4.882 Å, b = 4.882 Å, c = 4.882 Å
α = 60.00°, β = 60.00°, γ = 60.00°
Positions (direct):
Tm1 0.750 0.750 0.750
Tm2 0.250 0.250 0.250
Pd1 0.500 0.500 0.500
Pt1 0.000 0.000 0.000